# 1
A geometry-optimized MgSiH2O4 structure, computed with PBE.

Calculated values
ΔE to the lowest computed polymorph: 0 meV/atom
E (MP2020): -52.5 eV per cell
energy of formation: -2.363 eV/atom
space group: Pm, No. 6

Cell: 4.3351 2.8596 4.8011 Å, 90.00 93.34 90.00°
Fractional positions:
Mg (0.0000, 0.0000, 0.0000)
Si (0.5006, 0.5000, 0.5271)
H (0.4782, 0.5000, 0.0415)
H (0.9650, 0.0000, 0.4961)
O (0.2715, 0.0000, 0.6310)
O (0.3022, 0.5000, 0.1833)
O (0.7233, 0.5000, 0.8337)
O (0.7477, 0.0000, 0.3840)

***

# 2
A geometry-optimized Mg9Si4H2O18 structure, computed with PBE.

Calculated values
E (MP2020): -464.0 eV per cell
energy of formation: -3.032 eV/atom
space group: P2_1/c, No. 14

Cell: 13.8996 4.8192 10.3662 Å, 90.00 101.60 90.00°
Fractional positions:
Mg (0.0000, 0.0000, 0.0000)
Mg (0.0000, 0.5000, 0.5000)
Mg (0.1124, 0.0091, 0.7490)
Mg (0.1124, 0.4909, 0.2490)
Mg (0.2257, 0.0006, 0.0521)
Mg (0.2257, 0.4994, 0.5521)
Mg (0.3253, 0.5132, 0.8576)
Mg (0.3253, 0.9868, 0.3576)
Mg (0.4564, 0.0177, 0.1232)
Mg (0.4564, 0.4823, 0.6232)
Mg (0.5436, 0.5177, 0.3768)
Mg (0.5436, 0.9823, 0.8768)
Mg (0.6747, 0.0132, 0.6424)
Mg (0.6747, 0.4868, 0.1424)
Mg (0.7743, 0.5006, 0.4479)
Mg (0.7743, 0.9994, 0.9479)
Mg (0.8876, 0.5091, 0.7510)
Mg (0.8876, 0.9909, 0.2510)
Si (0.1091, 0.5753, 0.9337)
Si (0.1091, 0.9247, 0.4337)
Si (0.3338, 0.0700, 0.6781)
Si (0.3338, 0.4300, 0.1781)
Si (0.6662, 0.5700, 0.8219)
Si (0.6662, 0.9300, 0.3219)
Si (0.8909, 0.0753, 0.5663)
Si (0.8909, 0.4247, 0.0663)
H (0.4729, 0.6225, 0.0224)
H (0.4729, 0.8775, 0.5224)
H (0.5271, 0.1225, 0.4776)
H (0.5271, 0.3775, 0.9776)
O (0.0114, 0.7230, 0.8421)
O (0.0114, 0.7770, 0.3421)
O (0.1114, 0.2362, 0.9349)
O (0.1114, 0.2638, 0.4349)
O (0.1128, 0.7240, 0.0804)
O (0.1128, 0.7760, 0.5804)
O (0.2034, 0.7261, 0.8859)
O (0.2034, 0.7739, 0.3859)
O (0.2377, 0.2225, 0.7207)
O (0.2377, 0.2775, 0.2207)
O (0.3354, 0.7309, 0.6784)
O (0.3354, 0.7691, 0.1784)
O (0.3357, 0.2132, 0.5321)
O (0.3357, 0.2868, 0.0321)
O (0.4302, 0.2160, 0.7746)
O (0.4302, 0.2840, 0.2746)
O (0.4418, 0.7427, 0.4574)
O (0.4418, 0.7573, 0.9574)
O (0.5582, 0.2427, 0.0426)
O (0.5582, 0.2573, 0.5426)
O (0.5698, 0.7160, 0.7254)
O (0.5698, 0.7840, 0.2254)
O (0.6643, 0.7132, 0.9679)
O (0.6643, 0.7868, 0.4679)
O (0.6646, 0.2309, 0.8216)
O (0.6646, 0.2691, 0.3216)
O (0.7623, 0.7225, 0.7793)
O (0.7623, 0.7775, 0.2793)
O (0.7966, 0.2261, 0.6141)
O (0.7966, 0.2739, 0.1141)
O (0.8872, 0.2240, 0.4196)
O (0.8872, 0.2760, 0.9196)
O (0.8886, 0.7362, 0.5651)
O (0.8886, 0.7638, 0.0651)
O (0.9886, 0.2230, 0.6579)
O (0.9886, 0.2770, 0.1579)

***

# 3
A geometry-optimized MgSiH2O4 structure, computed with PBE.

Calculated values
ΔE to the lowest computed polymorph: 9 meV/atom
E (MP2020): -52.4 eV per cell
energy of formation: -2.353 eV/atom
space group: P2/m, No. 10

Cell: 4.2827 2.8563 4.7777 Å, 90.00 93.16 90.00°
Fractional positions:
Mg (0.0000, 0.0000, 0.0000)
Si (0.5000, 0.5000, 0.5000)
H (0.0000, 0.0000, 0.5000)
H (0.5000, 0.5000, 0.0000)
O (0.2560, 0.0000, 0.6185)
O (0.2963, 0.5000, 0.1699)
O (0.7037, 0.5000, 0.8301)
O (0.7440, 0.0000, 0.3815)

***

# 4
A geometry-optimized Mg7Si4H2O16 structure, computed with PBE.

Calculated values
E (MP2020): -407.8 eV per cell
energy of formation: -2.933 eV/atom
space group: Pmma, No. 51

Cell: 11.5839 5.8285 8.2828 Å, 90.00 90.00 90.00°
Fractional positions:
Mg (0.0000, 0.0000, 0.0000)
Mg (0.0000, 0.5000, 0.5000)
Mg (0.1138, 0.2462, 0.2483)
Mg (0.1138, 0.7538, 0.2483)
Mg (0.2500, 0.5000, 0.5458)
Mg (0.3862, 0.2462, 0.2483)
Mg (0.3862, 0.7538, 0.2483)
Mg (0.5000, 0.0000, 0.0000)
Mg (0.5000, 0.5000, 0.5000)
Mg (0.6138, 0.2462, 0.7517)
Mg (0.6138, 0.7538, 0.7517)
Mg (0.7500, 0.5000, 0.4542)
Mg (0.8862, 0.2462, 0.7517)
Mg (0.8862, 0.7538, 0.7517)
Si (0.1190, 0.5000, 0.8919)
Si (0.1241, 0.0000, 0.6120)
Si (0.3759, 0.0000, 0.6120)
Si (0.3810, 0.5000, 0.8919)
Si (0.6190, 0.5000, 0.1081)
Si (0.6241, 0.0000, 0.3880)
Si (0.8759, 0.0000, 0.3880)
Si (0.8810, 0.5000, 0.1081)
H (0.2500, 0.0000, 0.0967)
H (0.2500, 0.5000, 0.1437)
H (0.7500, 0.0000, 0.9033)
H (0.7500, 0.5000, 0.8563)
O (0.0136, 0.0000, 0.7392)
O (0.0158, 0.5000, 0.7487)
O (0.1170, 0.2710, 0.0052)
O (0.1170, 0.7290, 0.0052)
O (0.1246, 0.2396, 0.4992)
O (0.1246, 0.7604, 0.4992)
O (0.2500, 0.0000, 0.2160)
O (0.2500, 0.0000, 0.7054)
O (0.2500, 0.5000, 0.2629)
O (0.2500, 0.5000, 0.7916)
O (0.3754, 0.2396, 0.4992)
O (0.3754, 0.7604, 0.4992)
O (0.3830, 0.2710, 0.0052)
O (0.3830, 0.7290, 0.0052)
O (0.4842, 0.5000, 0.7487)
O (0.4864, 0.0000, 0.7392)
O (0.5136, 0.0000, 0.2608)
O (0.5158, 0.5000, 0.2513)
O (0.6170, 0.2710, 0.9948)
O (0.6170, 0.7290, 0.9948)
O (0.6246, 0.2396, 0.5008)
O (0.6246, 0.7604, 0.5008)
O (0.7500, 0.0000, 0.2946)
O (0.7500, 0.0000, 0.7840)
O (0.7500, 0.5000, 0.2084)
O (0.7500, 0.5000, 0.7371)
O (0.8754, 0.2396, 0.5008)
O (0.8754, 0.7604, 0.5008)
O (0.8830, 0.2710, 0.9948)
O (0.8830, 0.7290, 0.9948)
O (0.9842, 0.5000, 0.2513)
O (0.9864, 0.0000, 0.2608)

***

# 5
A geometry-optimized MgSiH6O6 structure, computed with PBE.

Calculated values
ΔE to the lowest computed polymorph: 9 meV/atom
E (MP2020): -167.8 eV per cell
energy of formation: -1.915 eV/atom
space group: P2_1, No. 4

Cell: 5.1413 5.2367 7.3901 Å, 90.00 90.09 90.00°
Fractional positions:
Mg (0.2475, 0.0000, 0.2510)
Mg (0.7525, 0.5000, 0.7490)
Si (0.2487, 0.9986, 0.7494)
Si (0.7513, 0.4986, 0.2506)
H (0.0103, 0.1354, 0.9925)
H (0.0662, 0.6549, 0.4512)
H (0.2251, 0.5519, 0.7323)
H (0.3106, 0.4627, 0.2164)
H (0.4103, 0.3163, 0.9405)
H (0.4936, 0.8807, 0.5105)
H (0.5064, 0.3807, 0.4895)
H (0.5897, 0.8163, 0.0595)
H (0.6894, 0.9627, 0.7836)
H (0.7749, 0.0519, 0.2677)
H (0.9338, 0.1549, 0.5488)
H (0.9897, 0.6354, 0.0075)
O (0.0461, 0.6581, 0.3171)
O (0.1021, 0.6931, 0.6985)
O (0.1260, 0.9856, 0.9787)
O (0.3712, 0.0257, 0.5206)
O (0.4089, 0.3027, 0.8057)
O (0.4503, 0.3390, 0.1844)
O (0.5497, 0.8390, 0.8156)
O (0.5911, 0.8027, 0.1943)
O (0.6288, 0.5257, 0.4794)
O (0.8740, 0.4856, 0.0213)
O (0.8979, 0.1931, 0.3015)
O (0.9539, 0.1581, 0.6829)

***

# 6
A geometry-optimized MgSiH6O6 structure, computed with PBE.

Calculated values
ΔE to the lowest computed polymorph: 0 meV/atom
E (MP2020): -168.0 eV per cell
energy of formation: -1.924 eV/atom
space group: P2_1, No. 4

Cell: 5.1617 5.2026 7.3640 Å, 90.00 90.08 90.00°
Fractional positions:
Mg (0.2472, 0.0000, 0.2512)
Mg (0.7528, 0.5000, 0.7488)
Si (0.2520, 0.9997, 0.7508)
Si (0.7480, 0.4997, 0.2492)
H (0.0354, 0.1931, 0.9856)
H (0.0658, 0.3437, 0.4472)
H (0.2263, 0.4458, 0.7313)
H (0.3036, 0.5365, 0.2262)
H (0.4123, 0.6838, 0.9489)
H (0.4585, 0.7929, 0.5104)
H (0.5415, 0.2929, 0.4896)
H (0.5877, 0.1838, 0.0511)
H (0.6964, 0.0365, 0.7738)
H (0.7737, 0.9458, 0.2687)
H (0.9342, 0.8437, 0.5528)
H (0.9646, 0.6931, 0.0144)
O (0.0510, 0.3413, 0.3120)
O (0.1092, 0.3027, 0.6908)
O (0.1331, 0.0301, 0.9801)
O (0.3672, 0.9591, 0.5207)
O (0.4022, 0.6978, 0.8131)
O (0.4418, 0.6604, 0.1884)
O (0.5582, 0.1604, 0.8116)
O (0.5978, 0.1978, 0.1869)
O (0.6328, 0.4591, 0.4793)
O (0.8669, 0.5301, 0.0199)
O (0.8908, 0.8027, 0.3092)
O (0.9490, 0.8413, 0.6880)

***

# 7
A geometry-optimized MgU2Si2H4O12 structure, computed with PBE.

Calculated values
E (MP2020): -163.5 eV per cell
energy of formation: -2.643 eV/atom
space group: C2/m, No. 12

Cell: 8.3369 8.3369 6.6342 Å, 100.44 100.44 48.25°
Fractional positions:
Mg (0.0000, 0.0000, 0.0000)
U (0.2390, 0.2390, 0.8500)
U (0.7610, 0.7610, 0.1500)
Si (0.1886, 0.1886, 0.2946)
Si (0.8114, 0.8114, 0.7054)
H (0.2852, 0.5143, 0.1906)
H (0.4857, 0.7148, 0.8094)
H (0.5143, 0.2852, 0.1906)
H (0.7148, 0.4857, 0.8094)
O (0.0432, 0.4124, 0.1690)
O (0.0826, 0.0826, 0.2589)
O (0.1109, 0.1109, 0.8282)
O (0.2431, 0.2431, 0.5347)
O (0.3972, 0.3972, 0.1001)
O (0.4124, 0.0432, 0.1690)
O (0.5876, 0.9568, 0.8310)
O (0.6028, 0.6028, 0.8999)
O (0.7569, 0.7569, 0.4653)
O (0.8891, 0.8891, 0.1718)
O (0.9174, 0.9174, 0.7411)
O (0.9568, 0.5876, 0.8310)

***

# 8
A geometry-optimized Sm4MgH4O8 structure, computed with PBE.

Calculated values
E (MP2020): -118.0 eV per cell
energy of formation: -2.608 eV/atom
space group: Pm, No. 6

Cell: 5.7793 3.6964 11.6178 Å, 90.00 90.01 90.00°
Fractional positions:
Sm (0.0000, 0.0000, 0.0000)
Sm (0.1436, 0.5000, 0.3679)
Sm (0.5069, 0.5000, 0.8217)
Sm (0.6667, 0.0000, 0.5281)
Mg (0.5623, 0.0000, 0.2296)
H (0.2392, 0.5000, 0.6032)
H (0.2872, 0.5000, 0.1418)
H (0.8871, 0.0000, 0.7485)
H (0.9421, 0.0000, 0.2412)
O (0.1125, 0.5000, 0.1474)
O (0.2981, 0.0000, 0.8789)
O (0.3822, 0.0000, 0.3839)
O (0.4092, 0.5000, 0.6085)
O (0.7229, 0.0000, 0.7293)
O (0.8274, 0.5000, 0.9293)
O (0.8803, 0.0000, 0.3204)
O (0.8994, 0.5000, 0.5167)

***

Calculated VASP energy (eV per atom), listed in the same order as above: -6.22, -6.66, -6.21, -6.65, -5.70, -5.71, -7.39, -6.62